Density functional theory data (PBE-GGA) for a relaxed structure of Cs2ZnBr4.

a = 7.9450 Å, b = 10.4146 Å, c = 13.9714 Å
α = 90.00°, β = 90.00°, γ = 90.00°
Closest atoms and distances in Å follow each position.
Atoms (fractional coordinates):
Cs (0.2500, 0.6366, 0.6011)  7 Br 3.83-4.08, 1 Zn 4.18
Cs (0.2500, 0.1366, 0.8989)  7 Br 3.83-4.08, 1 Zn 4.18
Cs (0.2500, 0.9769, 0.3290)  7 Br 3.64-3.80
Cs (0.7500, 0.5231, 0.8290)  7 Br 3.64-3.80
Cs (0.7500, 0.0231, 0.6710)  7 Br 3.64-3.80
Cs (0.7500, 0.3634, 0.3989)  7 Br 3.83-4.08, 1 Zn 4.18
Cs (0.2500, 0.4769, 0.1710)  7 Br 3.64-3.80
Cs (0.7500, 0.8634, 0.1011)  7 Br 3.83-4.08, 1 Zn 4.18
Zn (0.2500, 0.2363, 0.5778)  4 Br 2.43-2.44
Zn (0.7500, 0.2637, 0.0778)  4 Br 2.43-2.44
Zn (0.7500, 0.7637, 0.4222)  4 Br 2.43-2.44
Zn (0.2500, 0.7363, 0.9222)  4 Br 2.43-2.44
Br (0.4998, 0.3264, 0.6521)  1 Zn 2.43
Br (0.9998, 0.6736, 0.3479)  1 Zn 2.43
Br (0.7500, 0.1919, 0.9118)  1 Zn 2.44
Br (0.4998, 0.8264, 0.8479)  1 Zn 2.43
Br (0.5002, 0.1736, 0.1521)  1 Zn 2.43
Br (0.0002, 0.3264, 0.6521)  1 Zn 2.43
Br (0.0002, 0.8264, 0.8479)  1 Zn 2.43
Br (0.2500, 0.8081, 0.0882)  1 Zn 2.44
Br (0.7500, 0.9960, 0.4033)  1 Zn 2.43
Br (0.5002, 0.6736, 0.3479)  1 Zn 2.43
Br (0.2500, 0.3081, 0.4118)  1 Zn 2.44
Br (0.7500, 0.4960, 0.0967)  1 Zn 2.43
Br (0.2500, 0.0040, 0.5967)  1 Zn 2.43
Br (0.9998, 0.1736, 0.1521)  1 Zn 2.43
Br (0.2500, 0.5040, 0.9033)  1 Zn 2.43
Br (0.7500, 0.6919, 0.5882)  1 Zn 2.44

***

Density functional theory data (PBE-GGA) for a relaxed structure of CuBr.

a = 4.0298 Å, b = 4.0298 Å, c = 4.0298 Å
α = 60.00°, β = 60.00°, γ = 60.00°
Closest atoms and distances in Å follow each position.
Atoms (fractional coordinates):
Cu (0.7500, 0.7500, 0.7500)  4 Br 2.47
Br (0.0000, 0.0000, 0.0000)  4 Cu 2.47

Values from the calculation:
largest piezoelectric modulus: 0.311 C/m²

***

Density functional theory data (PBE-GGA) for a relaxed structure of CuBr.

a = 3.9138 Å, b = 3.9138 Å, c = 6.0328 Å
α = 90.00°, β = 90.00°, γ = 90.00°
Closest atoms and distances in Å follow each position.
Atoms (fractional coordinates):
Br (0.0000, 0.5000, 0.7371)  4 Cu 2.52
Br (0.5000, 0.0000, 0.2629)  4 Cu 2.52
Cu (0.0000, 0.0000, 0.0000)  4 Br 2.52, 4 Cu 2.77
Cu (0.5000, 0.5000, 0.0000)  4 Br 2.52, 4 Cu 2.77

***

Density functional theory data (PBE-GGA) for a relaxed structure of CuBr.

a = 4.1328 Å, b = 4.1328 Å, c = 6.6197 Å
α = 90.00°, β = 90.00°, γ = 120.00°
Closest atoms and distances in Å follow each position.
Atoms (fractional coordinates):
Br (0.3333, 0.6667, 0.2500)  3 Cu 2.39
Br (0.6667, 0.3333, 0.7500)  3 Cu 2.39
Cu (0.0000, 0.0000, 0.2500)  3 Br 2.39
Cu (0.0000, 0.0000, 0.7500)  3 Br 2.39

***

Number 1: corrected total energy (MP2020 scheme) -3.154 eV/atom. Number 2: corrected total energy (MP2020 scheme) -3.386 eV/atom. Number 3: corrected total energy (MP2020 scheme) -3.383 eV/atom. Number 4: corrected total energy (MP2020 scheme) -3.345 eV/atom.